[1]
Compound: CePaO4
Source: the Materials Project database
Functional: r²SCAN
Structure: optimized geometry

Lattice parameters (Å, degrees): 6.677 6.677 6.677 131.48 131.48 71.05
Sites, in units of the cell vectors:
Ce 0.375 0.625 0.750
Ce 0.625 0.375 0.250
Pa 0.125 0.875 0.250
Pa 0.875 0.125 0.750
O 0.000 0.234 0.234
O 0.000 0.766 0.766
O 0.234 0.000 0.734
O 0.234 0.500 0.234
O 0.500 0.234 0.734
O 0.500 0.766 0.266
O 0.766 0.000 0.266
O 0.766 0.500 0.766

As for the symmetry: I4_1/amd (141). The energy of formation comes out at -3.98 eV per atom. For the magnetic moment, the calculation gives 1.0 μB/f.u. Its electronic total energy is -311.0 eV for the cell shown.



[2]
Compound: Ce4S3O4
Source: the Materials Project database
Functional: r²SCAN
Structure: optimized geometry

Lattice parameters (Å, degrees): 6.845 14.745 3.950 90.00 90.00 90.00
Sites, in units of the cell vectors:
Ce 0.207 0.158 0.000
Ce 0.218 0.923 0.500
Ce 0.282 0.423 0.500
Ce 0.293 0.658 0.000
Ce 0.707 0.342 0.000
Ce 0.718 0.577 0.500
Ce 0.782 0.077 0.500
Ce 0.793 0.842 0.000
S 0.000 0.500 0.000
S 0.006 0.281 0.500
S 0.494 0.781 0.500
S 0.500 0.000 0.000
S 0.506 0.219 0.500
S 0.994 0.719 0.500
O 0.119 0.877 0.000
O 0.139 0.072 0.500
O 0.361 0.572 0.500
O 0.381 0.377 0.000
O 0.619 0.623 0.000
O 0.639 0.428 0.500
O 0.861 0.928 0.500
O 0.881 0.123 0.000

As for the symmetry: Pbam (55). The energy of formation comes out at -3.21 eV per atom. For the magnetic moment, the calculation gives 0.0 μB/f.u. Its electronic total energy is -413.3 eV for the cell shown.



[3]
Compound: Ce2SO2
Source: the Materials Project database
Functional: r²SCAN
Structure: optimized geometry

Lattice parameters (Å, degrees): 3.979 3.979 6.875 90.00 90.00 120.00
Sites, in units of the cell vectors:
Ce 0.333 0.667 0.280
Ce 0.667 0.333 0.720
S 0.000 0.000 0.000
O 0.333 0.667 0.627
O 0.667 0.333 0.373

As for the symmetry: P-3m1 (164). The energy of formation comes out at -3.38 eV per atom. For the magnetic moment, the calculation gives 2.0 μB/f.u. Its electronic total energy is -98.6 eV for the cell shown.



[4]
Compound: CeS2O8
Source: the Materials Project database
Functional: r²SCAN
Structure: optimized geometry

Lattice parameters (Å, degrees): 8.995 13.457 9.435 90.00 90.00 90.00
Sites, in units of the cell vectors:
Ce 0.219 0.104 0.035
Ce 0.219 0.396 0.535
Ce 0.281 0.604 0.035
Ce 0.281 0.896 0.535
Ce 0.719 0.104 0.465
Ce 0.719 0.396 0.965
Ce 0.781 0.604 0.465
Ce 0.781 0.896 0.965
S 0.003 0.059 0.722
S 0.003 0.441 0.222
S 0.180 0.656 0.394
S 0.180 0.844 0.894
S 0.320 0.156 0.394
S 0.320 0.344 0.894
S 0.497 0.559 0.722
S 0.497 0.941 0.222
S 0.503 0.059 0.778
S 0.503 0.441 0.278
S 0.680 0.656 0.106
S 0.680 0.844 0.606
S 0.820 0.156 0.106
S 0.820 0.344 0.606
S 0.997 0.559 0.778
S 0.997 0.941 0.278
O 0.019 0.665 0.414
O 0.019 0.835 0.914
O 0.082 0.621 0.877
O 0.082 0.879 0.377
O 0.083 0.517 0.142
O 0.083 0.983 0.642
O 0.100 0.510 0.678
O 0.100 0.990 0.178
O 0.105 0.122 0.804
O 0.105 0.378 0.304
O 0.221 0.681 0.248
O 0.221 0.819 0.748
O 0.226 0.553 0.423
O 0.226 0.947 0.923
O 0.243 0.224 0.491
O 0.243 0.276 0.991
O 0.257 0.724 0.491
O 0.257 0.776 0.991
O 0.274 0.053 0.423
O 0.274 0.447 0.923
O 0.279 0.181 0.248
O 0.279 0.319 0.748
O 0.395 0.622 0.804
O 0.395 0.878 0.304
O 0.400 0.010 0.678
O 0.400 0.490 0.178
O 0.417 0.017 0.142
O 0.417 0.483 0.642
O 0.418 0.121 0.877
O 0.418 0.379 0.377
O 0.481 0.165 0.414
O 0.481 0.335 0.914
O 0.519 0.665 0.086
O 0.519 0.835 0.586
O 0.582 0.621 0.623
O 0.582 0.879 0.123
O 0.583 0.517 0.358
O 0.583 0.983 0.858
O 0.600 0.510 0.822
O 0.600 0.990 0.322
O 0.605 0.122 0.696
O 0.605 0.378 0.196
O 0.721 0.681 0.252
O 0.721 0.819 0.752
O 0.726 0.553 0.077
O 0.726 0.947 0.577
O 0.743 0.224 0.009
O 0.743 0.276 0.509
O 0.757 0.724 0.009
O 0.757 0.776 0.509
O 0.774 0.053 0.077
O 0.774 0.447 0.577
O 0.779 0.181 0.252
O 0.779 0.319 0.752
O 0.895 0.622 0.696
O 0.895 0.878 0.196
O 0.900 0.010 0.822
O 0.900 0.490 0.322
O 0.917 0.017 0.358
O 0.917 0.483 0.858
O 0.918 0.121 0.623
O 0.918 0.379 0.123
O 0.981 0.165 0.086
O 0.981 0.335 0.586

As for the symmetry: Pbca (61). The energy of formation comes out at -2.10 eV per atom. For the magnetic moment, the calculation gives 0.0 μB/f.u. Its electronic total energy is -942.5 eV for the cell shown.



[5]
Compound: CeScO3
Source: the Materials Project database
Functional: r²SCAN
Structure: optimized geometry

Lattice parameters (Å, degrees): 5.819 8.049 5.622 90.00 90.00 90.00
Sites, in units of the cell vectors:
Ce 0.055 0.250 0.013
Ce 0.445 0.750 0.513
Ce 0.555 0.250 0.487
Ce 0.945 0.750 0.987
Sc 0.000 0.000 0.500
Sc 0.000 0.500 0.500
Sc 0.500 0.000 0.000
Sc 0.500 0.500 0.000
O 0.039 0.750 0.393
O 0.200 0.556 0.802
O 0.200 0.944 0.802
O 0.300 0.056 0.302
O 0.300 0.444 0.302
O 0.461 0.250 0.893
O 0.539 0.750 0.107
O 0.700 0.556 0.698
O 0.700 0.944 0.698
O 0.800 0.056 0.198
O 0.800 0.444 0.198
O 0.961 0.250 0.607

As for the symmetry: Pnma (62). The energy of formation comes out at -3.81 eV per atom. For the magnetic moment, the calculation gives 1.0 μB/f.u. Its electronic total energy is -316.8 eV for the cell shown.



[6]
Compound: Ce2SeO2
Source: the Materials Project database
Functional: r²SCAN
Structure: optimized geometry

Lattice parameters (Å, degrees): 4.024 4.024 7.105 90.00 90.00 120.00
Sites, in units of the cell vectors:
Ce 0.333 0.667 0.211
Ce 0.667 0.333 0.789
Se 0.000 0.000 0.500
O 0.333 0.667 0.875
O 0.667 0.333 0.125

As for the symmetry: P-3m1 (164). The energy of formation comes out at -3.35 eV per atom. For the magnetic moment, the calculation gives 2.0 μB/f.u. Its electronic total energy is -104.7 eV for the cell shown.



[7]
Compound: Ce10Si8O3
Source: the Materials Project database
Functional: r²SCAN
Structure: optimized geometry

Lattice parameters (Å, degrees): 10.805 10.805 4.545 90.00 90.00 120.00
Sites, in units of the cell vectors:
Ce 0.000 0.000 0.000
Ce 0.000 0.500 0.500
Ce 0.211 0.421 0.000
Ce 0.211 0.789 0.000
Ce 0.421 0.211 0.000
Ce 0.500 0.000 0.500
Ce 0.500 0.500 0.500
Ce 0.579 0.789 0.000
Ce 0.789 0.211 0.000
Ce 0.789 0.579 0.000
Si 0.000 0.220 0.500
Si 0.000 0.780 0.500
Si 0.220 0.000 0.500
Si 0.220 0.220 0.500
Si 0.333 0.667 0.500
Si 0.667 0.333 0.500
Si 0.780 0.000 0.500
Si 0.780 0.780 0.500
O 0.000 0.500 0.000
O 0.500 0.000 0.000
O 0.500 0.500 0.000

As for the symmetry: P6/mmm (191). The energy of formation comes out at -1.44 eV per atom. For the magnetic moment, the calculation gives 11.2 μB/f.u. Its electronic total energy is -426.7 eV for the cell shown.



[8]
Compound: CeTaO4
Source: the Materials Project database
Functional: r²SCAN
Structure: optimized geometry

Lattice parameters (Å, degrees): 7.664 5.508 7.762 90.00 100.38 90.00
Sites, in units of the cell vectors:
Ce 0.152 0.227 0.397
Ce 0.152 0.273 0.897
Ce 0.848 0.727 0.103
Ce 0.848 0.773 0.603
Ta 0.335 0.732 0.191
Ta 0.335 0.768 0.691
Ta 0.665 0.232 0.309
Ta 0.665 0.268 0.809
O 0.117 0.517 0.169
O 0.117 0.983 0.669
O 0.168 0.506 0.633
O 0.168 0.994 0.133
O 0.333 0.656 0.945
O 0.333 0.844 0.445
O 0.443 0.087 0.795
O 0.443 0.413 0.295
O 0.557 0.587 0.705
O 0.557 0.913 0.205
O 0.667 0.156 0.555
O 0.667 0.344 0.055
O 0.832 0.006 0.867
O 0.832 0.494 0.367
O 0.883 0.017 0.331
O 0.883 0.483 0.831

As for the symmetry: P2_1/c (14). The energy of formation comes out at -3.50 eV per atom. For the magnetic moment, the calculation gives 1.0 μB/f.u. Its electronic total energy is -497.4 eV for the cell shown.



> What is the formula in the fourth record?

CeS2O8



> What is the electronic total energy in the fifth record?

-316.8 eV for the cell shown